A relaxed Mg30CrSnO32 crystal, computed with PBE with a Hubbard U.

Calculated values
* energy relative to the elements: -2.92 eV per atom
* total magnetic moment: 4.01 μB per cell

Unit cell a=8.6248 b=8.6248 c=8.5988 alpha=90.00 beta=90.00 gamma=90.00
Space group P4/mmm (No. 123)
Inequivalent atoms, fractional coordinates:
Mg (0.0000, 0.0000, 0.0000) (multiplicity 1)
Mg (0.0000, 0.0000, 0.5000) (multiplicity 1)
Mg (0.0000, 0.2496, 0.2494) (multiplicity 8)
Mg (0.0000, 0.5000, 0.0000) (multiplicity 2)
Mg (0.0000, 0.5000, 0.5000) (multiplicity 2)
Mg (0.2441, 0.5000, 0.2458) (multiplicity 8)
Mg (0.2456, 0.2456, 0.5000) (multiplicity 4)
Mg (0.2494, 0.2494, 0.0000) (multiplicity 4)
Cr (0.5000, 0.5000, 0.0000) (multiplicity 1)
Sn (0.5000, 0.5000, 0.5000) (multiplicity 1)
O (0.0000, 0.0000, 0.2497) (multiplicity 2)
O (0.0000, 0.2469, 0.5000) (multiplicity 4)
O (0.0000, 0.2486, 0.0000) (multiplicity 4)
O (0.0000, 0.5000, 0.2480) (multiplicity 4)
O (0.2303, 0.5000, 0.5000) (multiplicity 4)
O (0.2391, 0.5000, 0.0000) (multiplicity 4)
O (0.2509, 0.2509, 0.2504) (multiplicity 8)
O (0.5000, 0.5000, 0.2331) (multiplicity 2)

=====

A relaxed Mn2PO5 crystal, computed with PBE with a Hubbard U.

Calculated values
* energy relative to the elements: -2.41 eV per atom
* E above lowest polymorph: 0 meV/atom

Unit cell a=8.4415 b=8.4921 c=6.0439 alpha=90.00 beta=90.00 gamma=90.00
Space group Pnnm (No. 58)
Inequivalent atoms, fractional coordinates:
Mn (0.0000, 0.0000, 0.2408) (multiplicity 4)
Mn (0.1460, 0.3690, 0.5000) (multiplicity 4)
P (0.2342, 0.7481, 0.5000) (multiplicity 4)
O (0.1044, 0.6185, 0.5000) (multiplicity 4)
O (0.1236, 0.9203, 0.0000) (multiplicity 4)
O (0.1381, 0.9112, 0.5000) (multiplicity 4)
O (0.1618, 0.2370, 0.2092) (multiplicity 8)

=====

A relaxed CaVO2 crystal, computed with PBE with a Hubbard U.

Calculated values
* energy relative to the elements: -2.36 eV per atom
* E above lowest polymorph: 109 meV/atom
* total magnetic moment: 20.99 μB per cell

Unit cell a=16.9757 b=3.1385 c=11.7098 alpha=90.00 beta=132.31 gamma=90.00
Space group C2/m (No. 12)
Inequivalent atoms, fractional coordinates:
Ca (0.0685, 0.0000, 0.4187) (multiplicity 4)
Ca (0.1940, 0.5000, 0.7943) (multiplicity 4)
V (0.0692, 0.5000, 0.9150) (multiplicity 4)
V (0.1741, 0.0000, 0.2807) (multiplicity 4)
O (0.0849, 0.5000, 0.2865) (multiplicity 4)
O (0.1101, 0.0000, 0.8334) (multiplicity 4)
O (0.1169, 0.0000, 0.0589) (multiplicity 4)
O (0.2187, 0.0000, 0.6698) (multiplicity 4)

=====

A relaxed Y4V6O21 crystal, computed with PBE with a Hubbard U.

Calculated values
* energy relative to the elements: -2.79 eV per atom
* E above lowest polymorph: 0 meV/atom
* total magnetic moment: 0.01 μB per cell

Unit cell a=12.4297 b=7.1257 c=17.4303 alpha=90.00 beta=90.20 gamma=90.00
Space group C2/m (No. 12)
Inequivalent atoms, fractional coordinates:
Y (0.0000, 0.0000, 0.0000) (multiplicity 2)
Y (0.0000, 0.5000, 0.5000) (multiplicity 2)
Y (0.0834, 0.2494, 0.3174) (multiplicity 8)
Y (0.2500, 0.2500, 0.0000) (multiplicity 4)
V (0.0000, 0.0000, 0.5000) (multiplicity 2)
V (0.0000, 0.5000, 0.0000) (multiplicity 2)
V (0.0961, 0.2448, 0.8325) (multiplicity 8)
V (0.1538, 0.5000, 0.1657) (multiplicity 4)
V (0.1694, 0.0000, 0.6632) (multiplicity 4)
V (0.2500, 0.2500, 0.5000) (multiplicity 4)
O (0.0270, 0.5000, 0.3792) (multiplicity 4)
O (0.0392, 0.0000, 0.6059) (multiplicity 4)
O (0.0445, 0.0000, 0.8618) (multiplicity 4)
O (0.0634, 0.3061, 0.9429) (multiplicity 8)
O (0.0674, 0.3134, 0.1864) (multiplicity 8)
O (0.0962, 0.1835, 0.7313) (multiplicity 8)
O (0.1024, 0.1918, 0.4807) (multiplicity 8)
O (0.1131, 0.5000, 0.8195) (multiplicity 4)
O (0.1340, 0.5000, 0.0589) (multiplicity 4)
O (0.1646, 0.0000, 0.3081) (multiplicity 4)
O (0.1672, 0.0000, 0.0336) (multiplicity 4)
O (0.2065, 0.5000, 0.5169) (multiplicity 4)
O (0.2080, 0.5000, 0.2701) (multiplicity 4)
O (0.2278, 0.1898, 0.8593) (multiplicity 8)
O (0.2299, 0.1831, 0.6048) (multiplicity 8)

=====

A relaxed Li3FeSb4O12 crystal, computed with PBE with a Hubbard U.

Calculated values
* energy relative to the elements: -1.97 eV per atom
* total magnetic moment: 0.22 μB per cell

Unit cell a=5.5841 b=7.7010 c=10.5694 alpha=89.87 beta=89.85 gamma=85.66
Space group P1 (No. 1)
Inequivalent atoms, fractional coordinates:
Li (0.0000, 0.0000, 0.0000) (multiplicity 1)
Li (0.0000, 0.9999, 0.4992) (multiplicity 1)
Li (0.4894, 0.0009, 0.2495) (multiplicity 1)
Li (0.4887, 0.0006, 0.7494) (multiplicity 1)
Li (0.4903, 0.4953, 0.2508) (multiplicity 1)
Li (0.4897, 0.4954, 0.7502) (multiplicity 1)
Fe (0.0059, 0.4993, 0.9992) (multiplicity 1)
Fe (0.0106, 0.4981, 0.5024) (multiplicity 1)
Sb (0.4260, 0.7169, 0.5015) (multiplicity 1)
Sb (0.4269, 0.7167, 0.0007) (multiplicity 1)
Sb (0.4288, 0.2071, 0.9998) (multiplicity 1)
Sb (0.4299, 0.2061, 0.4990) (multiplicity 1)
Sb (0.9164, 0.7178, 0.2504) (multiplicity 1)
Sb (0.9193, 0.7193, 0.7502) (multiplicity 1)
Sb (0.9207, 0.2066, 0.7479) (multiplicity 1)
Sb (0.9211, 0.2079, 0.2482) (multiplicity 1)
O (0.0860, 0.7568, 0.0845) (multiplicity 1)
O (0.0870, 0.7627, 0.5851) (multiplicity 1)
O (0.0941, 0.2622, 0.9102) (multiplicity 1)
O (0.0953, 0.2617, 0.4106) (multiplicity 1)
O (0.2119, 0.6308, 0.3523) (multiplicity 1)
O (0.2170, 0.6326, 0.8497) (multiplicity 1)
O (0.2204, 0.1299, 0.1494) (multiplicity 1)
O (0.2211, 0.1307, 0.6494) (multiplicity 1)
O (0.3884, 0.4577, 0.0638) (multiplicity 1)
O (0.3908, 0.4569, 0.5628) (multiplicity 1)
O (0.3973, 0.9600, 0.4324) (multiplicity 1)
O (0.3971, 0.9607, 0.9329) (multiplicity 1)
O (0.5870, 0.7647, 0.1661) (multiplicity 1)
O (0.5881, 0.7638, 0.6664) (multiplicity 1)
O (0.5945, 0.2631, 0.3356) (multiplicity 1)
O (0.5953, 0.2647, 0.8366) (multiplicity 1)
O (0.7213, 0.6313, 0.4015) (multiplicity 1)
O (0.7232, 0.6305, 0.9017) (multiplicity 1)
O (0.7259, 0.1286, 0.5970) (multiplicity 1)
O (0.7263, 0.1304, 0.0970) (multiplicity 1)
O (0.8927, 0.4596, 0.1855) (multiplicity 1)
O (0.8950, 0.4588, 0.6838) (multiplicity 1)
O (0.8975, 0.9609, 0.3169) (multiplicity 1)
O (0.8968, 0.9616, 0.8182) (multiplicity 1)

=====

A relaxed ZnFe2O4 crystal, computed with PBE with a Hubbard U.

Calculated values
* energy relative to the elements: -1.54 eV per atom
* E above lowest polymorph: 200 meV/atom
* total magnetic moment: 40.00 μB per cell

Unit cell a=5.0572 b=5.8967 c=10.2326 alpha=89.85 beta=89.60 gamma=89.92
Space group P1 (No. 1)
Inequivalent atoms, fractional coordinates:
Zn (0.0000, 0.0000, 0.0000) (multiplicity 1)
Zn (0.0672, 0.5007, 0.5000) (multiplicity 1)
Zn (0.3848, 0.5004, 0.0010) (multiplicity 1)
Zn (0.6783, 0.0006, 0.5002) (multiplicity 1)
Fe (0.0188, 0.5002, 0.2372) (multiplicity 1)
Fe (0.0198, 0.5006, 0.7653) (multiplicity 1)
Fe (0.0385, 0.0004, 0.7366) (multiplicity 1)
Fe (0.0390, 0.0002, 0.2616) (multiplicity 1)
Fe (0.5291, 0.2476, 0.7496) (multiplicity 1)
Fe (0.5286, 0.2498, 0.2506) (multiplicity 1)
Fe (0.5288, 0.7529, 0.7498) (multiplicity 1)
Fe (0.5298, 0.7510, 0.2507) (multiplicity 1)
O (0.1896, 0.7518, 0.1406) (multiplicity 1)
O (0.1905, 0.2501, 0.1402) (multiplicity 1)
O (0.1918, 0.2410, 0.8614) (multiplicity 1)
O (0.1932, 0.7599, 0.8621) (multiplicity 1)
O (0.3285, 0.5001, 0.3474) (multiplicity 1)
O (0.3279, 0.5004, 0.6531) (multiplicity 1)
O (0.3751, 0.9999, 0.3574) (multiplicity 1)
O (0.3746, 0.0007, 0.6434) (multiplicity 1)
O (0.6787, 0.4997, 0.8567) (multiplicity 1)
O (0.6799, 0.5007, 0.1436) (multiplicity 1)
O (0.7289, 0.9999, 0.8470) (multiplicity 1)
O (0.7312, 0.0004, 0.1521) (multiplicity 1)
O (0.8647, 0.2448, 0.6366) (multiplicity 1)
O (0.8657, 0.7554, 0.6373) (multiplicity 1)
O (0.8684, 0.2503, 0.3594) (multiplicity 1)
O (0.8679, 0.7489, 0.3598) (multiplicity 1)

=====

A relaxed Li4CrP3O12 crystal, computed with PBE with a Hubbard U.

Calculated values
* energy relative to the elements: -2.48 eV per atom
* total magnetic moment: 3.00 μB per cell

Unit cell a=6.9902 b=7.6216 c=13.4940 alpha=94.02 beta=90.10 gamma=103.58
Space group P1 (No. 1)
Inequivalent atoms, fractional coordinates:
Li (0.0000, 0.0000, 0.0000) (multiplicity 1)
Li (0.9995, 0.0057, 0.4899) (multiplicity 1)
Li (0.1467, 0.6336, 0.2687) (multiplicity 1)
Li (0.1674, 0.6075, 0.7640) (multiplicity 1)
Li (0.3293, 0.2880, 0.3764) (multiplicity 1)
Li (0.3486, 0.3002, 0.8764) (multiplicity 1)
Li (0.5040, 0.0139, 0.9883) (multiplicity 1)
Li (0.5046, 0.0149, 0.4883) (multiplicity 1)
Li (0.6366, 0.5987, 0.7590) (multiplicity 1)
Li (0.6743, 0.6187, 0.2652) (multiplicity 1)
Li (0.8198, 0.3316, 0.8754) (multiplicity 1)
Li (0.8292, 0.3272, 0.3760) (multiplicity 1)
Cr (0.3127, 0.2136, 0.1447) (multiplicity 1)
Cr (0.3129, 0.2172, 0.6403) (multiplicity 1)
Cr (0.9779, 0.9913, 0.7635) (multiplicity 1)
P (0.1984, 0.6398, 0.4887) (multiplicity 1)
P (0.1981, 0.6401, 0.9887) (multiplicity 1)
P (0.5201, 0.9743, 0.7637) (multiplicity 1)
P (0.5269, 0.9755, 0.2633) (multiplicity 1)
P (0.6315, 0.6493, 0.9881) (multiplicity 1)
P (0.6321, 0.6500, 0.4879) (multiplicity 1)
P (0.8576, 0.4340, 0.6008) (multiplicity 1)
P (0.8591, 0.4349, 0.1013) (multiplicity 1)
P (0.9668, 0.9914, 0.2620) (multiplicity 1)
O (0.0449, 0.1155, 0.3535) (multiplicity 1)
O (0.0499, 0.1239, 0.8661) (multiplicity 1)
O (0.0642, 0.0955, 0.6490) (multiplicity 1)
O (0.0671, 0.0694, 0.1636) (multiplicity 1)
O (0.0797, 0.5570, 0.5854) (multiplicity 1)
O (0.0797, 0.5587, 0.0854) (multiplicity 1)
O (0.1260, 0.5144, 0.8980) (multiplicity 1)
O (0.1262, 0.5147, 0.3975) (multiplicity 1)
O (0.2060, 0.8375, 0.4870) (multiplicity 1)
O (0.2063, 0.8381, 0.9881) (multiplicity 1)
O (0.3264, 0.2361, 0.0248) (multiplicity 1)
O (0.3447, 0.2385, 0.5208) (multiplicity 1)
O (0.3644, 0.3849, 0.2275) (multiplicity 1)
O (0.3640, 0.3889, 0.7260) (multiplicity 1)
O (0.4091, 0.6148, 0.0248) (multiplicity 1)
O (0.4091, 0.6147, 0.5251) (multiplicity 1)
O (0.4199, 0.0293, 0.6694) (multiplicity 1)
O (0.4444, 0.7730, 0.7740) (multiplicity 1)
O (0.4474, 0.0397, 0.1658) (multiplicity 1)
O (0.4495, 0.7745, 0.2698) (multiplicity 1)
O (0.5059, 0.1034, 0.8539) (multiplicity 1)
O (0.5101, 0.1031, 0.3528) (multiplicity 1)
O (0.6419, 0.5231, 0.8974) (multiplicity 1)
O (0.6459, 0.5245, 0.3979) (multiplicity 1)
O (0.7121, 0.8506, 0.4849) (multiplicity 1)
O (0.7142, 0.8495, 0.9853) (multiplicity 1)
O (0.7240, 0.5797, 0.0834) (multiplicity 1)
O (0.7244, 0.5815, 0.5842) (multiplicity 1)
O (0.7380, 0.0140, 0.7282) (multiplicity 1)
O (0.7533, 0.0151, 0.2346) (multiplicity 1)
O (0.8085, 0.2794, 0.5230) (multiplicity 1)
O (0.8095, 0.2783, 0.0245) (multiplicity 1)
O (0.8445, 0.4112, 0.7102) (multiplicity 1)
O (0.8487, 0.4143, 0.2109) (multiplicity 1)
O (0.9577, 0.7927, 0.2661) (multiplicity 1)
O (0.9794, 0.7778, 0.7654) (multiplicity 1)

=====

A relaxed SrCa7Mn6Cr2O22 crystal, computed with PBE with a Hubbard U.

Calculated values
* energy relative to the elements: -2.51 eV per atom
* E above lowest polymorph: 18 meV/atom
* total magnetic moment: 26.00 μB per cell

Unit cell a=7.6661 b=7.7142 c=7.7235 alpha=90.61 beta=90.08 gamma=90.05
Space group P1 (No. 1)
Inequivalent atoms, fractional coordinates:
Sr (0.0000, 0.0000, 0.0000) (multiplicity 1)
Ca (0.0002, 0.9962, 0.4958) (multiplicity 1)
Ca (0.4934, 0.9991, 0.9980) (multiplicity 1)
Ca (0.4993, 0.4986, 0.9992) (multiplicity 1)
Ca (0.5009, 0.9917, 0.4975) (multiplicity 1)
Ca (0.5215, 0.4986, 0.5013) (multiplicity 1)
Ca (0.9847, 0.4971, 0.4986) (multiplicity 1)
Ca (0.9860, 0.4959, 0.0010) (multiplicity 1)
Mn (0.2300, 0.2534, 0.7448) (multiplicity 1)
Mn (0.2479, 0.2549, 0.2562) (multiplicity 1)
Mn (0.7245, 0.2498, 0.2522) (multiplicity 1)
Mn (0.7288, 0.7477, 0.7481) (multiplicity 1)
Mn (0.7393, 0.2488, 0.7473) (multiplicity 1)
Mn (0.7396, 0.7466, 0.2511) (multiplicity 1)
Cr (0.2309, 0.7402, 0.2537) (multiplicity 1)
Cr (0.2462, 0.7397, 0.7426) (multiplicity 1)
O (0.1732, 0.4869, 0.2435) (multiplicity 1)
O (0.1749, 0.5076, 0.7555) (multiplicity 1)
O (0.1805, 0.2520, 0.4942) (multiplicity 1)
O (0.1801, 0.7430, 0.5095) (multiplicity 1)
O (0.2385, 0.9879, 0.7412) (multiplicity 1)
O (0.2430, 0.0060, 0.2602) (multiplicity 1)
O (0.2523, 0.2461, 0.0038) (multiplicity 1)
O (0.2526, 0.7472, 0.9899) (multiplicity 1)
O (0.4774, 0.7093, 0.7077) (multiplicity 1)
O (0.4819, 0.2922, 0.2861) (multiplicity 1)
O (0.4825, 0.2818, 0.7172) (multiplicity 1)
O (0.4890, 0.7111, 0.2881) (multiplicity 1)
O (0.6990, 0.0003, 0.2479) (multiplicity 1)
O (0.7014, 0.9970, 0.7517) (multiplicity 1)
O (0.7028, 0.7434, 0.9983) (multiplicity 1)
O (0.7133, 0.2527, 0.0025) (multiplicity 1)
O (0.7793, 0.5028, 0.7495) (multiplicity 1)
O (0.7812, 0.2413, 0.4939) (multiplicity 1)
O (0.7828, 0.4930, 0.2497) (multiplicity 1)
O (0.7843, 0.7558, 0.5047) (multiplicity 1)
O (0.9780, 0.7804, 0.2172) (multiplicity 1)
O (0.9825, 0.2197, 0.7784) (multiplicity 1)

=====

Question: Which of these has the highest energy relative to the elements?
Answer: ZnFe2O4